First-principles (PBE) data for Sc5CCl8 after structural relaxation, as listed in Materials Project.

Lattice parameters (Å, degrees): 9.2730 9.2730 12.2102 51.06 51.06 22.04
Last column: nearest neighbours and their distance in Å.
Positions (direct):
Sc1 0.8419 0.8419 0.6702  1 C 2.22
Cl1 0.9717 0.9717 0.2358  3 Sc 2.58-2.71
Cl2 0.6291 0.6291 0.8986  2 Sc 2.54
Sc2 0.4884 0.4884 0.3870  2 C 2.34, 2 Cl 2.60
Sc3 0.1581 0.1581 0.3298  1 C 2.22
Cl3 0.0283 0.0283 0.7642  3 Sc 2.58-2.71
Cl4 0.3024 0.3024 0.5648  3 Sc 2.55-2.60
Cl5 0.3709 0.3709 0.1014  2 Sc 2.54
Sc4 0.0000 0.0000 0.0000  6 Cl 2.54-2.58
Sc5 0.5116 0.5116 0.6130  2 C 2.34, 2 Cl 2.60
Cl6 0.3302 0.3302 0.8312  3 Sc 2.55-2.60
C1 0.0000 0.0000 0.5000  6 Sc 2.22-2.34
Cl7 0.6698 0.6698 0.1688  3 Sc 2.55-2.60
Cl8 0.6976 0.6976 0.4352  3 Sc 2.55-2.60

space group: C2/m, No. 12
formation enthalpy at 0 K: -2.18 eV/atom
calculated volume: 302.59 Å³/cell